The following is a r2SCAN calculation of an optimized crystal structure of CoH9C4NO6, from the Materials Project database.

Summary:
Theoretical density, Mg/m³: 1.939
Magnetization, μB/f.u.: 0.0
E_form, eV per atom: -0.7448

```
data_CoH9C4NO6
_symmetry_space_group_name_H-M 'P 1'
_symmetry_Int_Tables_number 1
_cell_length_a 8.1354
_cell_length_b 11.5998
_cell_length_c 8.2074
_cell_angle_alpha 90.00
_cell_angle_beta 90.00
_cell_angle_gamma 90.00
loop_
_symmetry_equiv_pos_as_xyz
'x,y,z'
loop_
_atom_site_label
_atom_site_type_symbol
_atom_site_fract_x
_atom_site_fract_y
_atom_site_fract_z
Co1 Co 0.0000 0.0000 0.0000
Co2 Co 0.0000 0.5000 0.0000
Co3 Co 0.5000 0.0000 0.5000
Co4 Co 0.5000 0.5000 0.5000
H1 H 0.0190 0.2500 0.0750
H2 H 0.0878 0.2500 0.3425
H3 H 0.0889 0.7500 0.3440
H4 H 0.1470 0.1731 0.5209
H5 H 0.1470 0.3269 0.5209
H6 H 0.1495 0.6772 0.5113
H7 H 0.1495 0.8228 0.5113
H8 H 0.2100 0.5361 0.2857
H9 H 0.2100 0.9639 0.2857
H10 H 0.2900 0.0361 0.7857
H11 H 0.2900 0.4639 0.7857
H12 H 0.3505 0.1772 0.0113
H13 H 0.3505 0.3228 0.0113
H14 H 0.3530 0.6731 0.0209
H15 H 0.3530 0.8269 0.0209
H16 H 0.4111 0.2500 0.8440
H17 H 0.4122 0.7500 0.8425
H18 H 0.4810 0.7500 0.5750
H19 H 0.5190 0.2500 0.4250
H20 H 0.5878 0.2500 0.1575
H21 H 0.5889 0.7500 0.1560
H22 H 0.6470 0.1731 0.9791
H23 H 0.6470 0.3269 0.9791
H24 H 0.6495 0.6772 0.9887
H25 H 0.6495 0.8228 0.9887
H26 H 0.7100 0.5361 0.2143
H27 H 0.7100 0.9639 0.2143
H28 H 0.7900 0.0361 0.7143
H29 H 0.7900 0.4639 0.7143
H30 H 0.8505 0.1772 0.4887
H31 H 0.8505 0.3228 0.4887
H32 H 0.8530 0.6731 0.4791
H33 H 0.8530 0.8269 0.4791
H34 H 0.9111 0.2500 0.6560
H35 H 0.9122 0.7500 0.6575
H36 H 0.9810 0.7500 0.9250
C1 C 0.0065 0.7500 0.0565
C2 C 0.0862 0.2500 0.4748
C3 C 0.2190 0.5300 0.7210
C4 C 0.2190 0.9700 0.7210
C5 C 0.2810 0.0300 0.2210
C6 C 0.2810 0.4700 0.2210
C7 C 0.4138 0.7500 0.9748
C8 C 0.4935 0.2500 0.5565
C9 C 0.5065 0.7500 0.4435
C10 C 0.5862 0.2500 0.0252
C11 C 0.7190 0.5300 0.7790
C12 C 0.7190 0.9700 0.7790
C13 C 0.7810 0.0300 0.2790
C14 C 0.7810 0.4700 0.2790
C15 C 0.9138 0.7500 0.5252
C16 C 0.9935 0.2500 0.9435
N1 N 0.0871 0.7500 0.4693
N2 N 0.4129 0.2500 0.9693
N3 N 0.5871 0.7500 0.0307
N4 N 0.9129 0.2500 0.5307
O1 O 0.0215 0.6542 0.1287
O2 O 0.0215 0.8458 0.1287
O3 O 0.0938 0.5723 0.7878
O4 O 0.0938 0.9277 0.7878
O5 O 0.2301 0.0596 0.0805
O6 O 0.2301 0.4404 0.0805
O7 O 0.2699 0.5596 0.5805
O8 O 0.2699 0.9404 0.5805
O9 O 0.4062 0.0723 0.2878
O10 O 0.4062 0.4277 0.2878
O11 O 0.4785 0.1542 0.6287
O12 O 0.4785 0.3458 0.6287
O13 O 0.5215 0.6542 0.3713
O14 O 0.5215 0.8458 0.3713
O15 O 0.5938 0.5723 0.7122
O16 O 0.5938 0.9277 0.7122
O17 O 0.7301 0.0596 0.4195
O18 O 0.7301 0.4404 0.4195
O19 O 0.7699 0.5596 0.9195
O20 O 0.7699 0.9404 0.9195
O21 O 0.9062 0.0723 0.2122
O22 O 0.9062 0.4277 0.2122
O23 O 0.9785 0.1542 0.8713
O24 O 0.9785 0.3458 0.8713
```

***

The following is a r2SCAN calculation of an optimized crystal structure of CoH7C3NO6, from the Materials Project database.

Summary:
Theoretical density, Mg/m³: 1.897
Magnetization, μB/f.u.: 0.0
E_form, eV per atom: -0.8508

```
data_CoH7C3NO6
_symmetry_space_group_name_H-M 'P 1'
_symmetry_Int_Tables_number 1
_cell_length_a 8.2546
_cell_length_b 12.4758
_cell_length_c 12.4822
_cell_angle_alpha 60.05
_cell_angle_beta 89.99
_cell_angle_gamma 89.99
loop_
_symmetry_equiv_pos_as_xyz
'x,y,z'
loop_
_atom_site_label
_atom_site_type_symbol
_atom_site_fract_x
_atom_site_fract_y
_atom_site_fract_z
Co1 Co 0.0000 0.0000 0.0000
Co2 Co 0.0008 0.3261 0.3343
Co3 Co 0.0020 0.6614 0.6740
Co4 Co 0.5012 0.3335 0.6643
Co5 Co 0.5018 0.9916 0.3375
Co6 Co 0.5030 0.6649 0.0062
H1 H 0.0719 0.6635 0.3349
H2 H 0.0740 0.3279 0.0039
H3 H 0.0925 0.0247 0.7298
H4 H 0.0930 0.0582 0.5786
H5 H 0.0937 0.9072 0.6962
H6 H 0.2083 0.5010 0.6122
H7 H 0.2106 0.5461 0.1786
H8 H 0.2144 0.9351 0.2187
H9 H 0.2325 0.8551 0.9377
H10 H 0.2364 0.8670 0.5301
H11 H 0.2406 0.2644 0.5369
H12 H 0.2765 0.5995 0.8573
H13 H 0.2817 0.1799 0.8818
H14 H 0.2866 0.2092 0.2737
H15 H 0.4085 0.6892 0.2466
H16 H 0.4104 0.7253 0.3624
H17 H 0.4110 0.2396 0.0660
H18 H 0.4111 0.5736 0.3980
H19 H 0.4116 0.3560 0.9142
H20 H 0.4131 0.3913 0.0308
H21 H 0.4292 0.9953 0.6687
H22 H 0.5722 0.6639 0.3337
H23 H 0.5741 0.3277 0.0037
H24 H 0.5900 0.0863 0.6401
H25 H 0.5917 0.9353 0.7582
H26 H 0.5920 0.9682 0.6072
H27 H 0.7059 0.4403 0.1690
H28 H 0.7108 0.0545 0.1180
H29 H 0.7106 0.4901 0.7274
H30 H 0.7265 0.1396 0.3992
H31 H 0.7285 0.7257 0.7956
H32 H 0.7351 0.1262 0.8086
H33 H 0.7930 0.8203 0.4522
H34 H 0.7955 0.3876 0.4957
H35 H 0.7985 0.7757 0.0587
H36 H 0.9087 0.7514 0.2720
H37 H 0.9097 0.5986 0.3110
H38 H 0.9112 0.2672 0.9758
H39 H 0.9106 0.6376 0.4249
H40 H 0.9118 0.3010 0.0930
H41 H 0.9128 0.4184 0.9420
H42 H 0.9311 0.9961 0.6681
C1 C 0.2339 0.4680 0.7101
C2 C 0.2358 0.0342 0.1562
C3 C 0.2363 0.4822 0.1443
C4 C 0.2413 0.8118 0.0386
C5 C 0.2454 0.8090 0.4871
C6 C 0.2468 0.3656 0.4808
C7 C 0.2642 0.1427 0.8194
C8 C 0.2638 0.7000 0.8168
C9 C 0.2681 0.1471 0.3731
C10 C 0.7327 0.5060 0.2009
C11 C 0.7337 0.9557 0.1809
C12 C 0.7362 0.5240 0.6293
C13 C 0.7412 0.1797 0.2990
C14 C 0.7455 0.1846 0.8511
C15 C 0.7448 0.6259 0.8573
C16 C 0.7692 0.2900 0.5273
C17 C 0.7699 0.8541 0.5169
C18 C 0.7721 0.8427 0.9614
N1 N 0.0542 0.9967 0.6682
N2 N 0.4491 0.6630 0.3352
N3 N 0.4509 0.3287 0.0036
N4 N 0.5524 0.9963 0.6686
N5 N 0.9487 0.6628 0.3358
N6 N 0.9509 0.3287 0.0036
O1 O 0.1397 0.0931 0.0673
O2 O 0.1408 0.5004 0.7689
O3 O 0.1405 0.8409 0.0953
O4 O 0.1437 0.3909 0.1759
O5 O 0.1442 0.7232 0.5163
O6 O 0.1449 0.4220 0.3957
O7 O 0.1459 0.0698 0.8415
O8 O 0.1468 0.1682 0.4222
O9 O 0.1465 0.7514 0.7427
O10 O 0.3543 0.7338 0.0917
O11 O 0.3576 0.0827 0.1776
O12 O 0.3576 0.3999 0.7574
O13 O 0.3582 0.4190 0.5068
O14 O 0.3585 0.8334 0.4095
O15 O 0.3596 0.5042 0.0757
O16 O 0.3610 0.1741 0.7305
O17 O 0.3641 0.7575 0.8454
O18 O 0.3662 0.0594 0.4318
O19 O 0.6403 0.8969 0.2717
O20 O 0.6421 0.5986 0.1661
O21 O 0.6427 0.1503 0.2409
O22 O 0.6444 0.4912 0.5703
O23 O 0.6451 0.2433 0.5946
O24 O 0.6464 0.2717 0.8212
O25 O 0.6473 0.8235 0.9142
O26 O 0.6470 0.9227 0.4964
O27 O 0.6492 0.5688 0.9470
O28 O 0.8546 0.9074 0.1582
O29 O 0.8555 0.4843 0.2701
O30 O 0.8583 0.1588 0.9294
O31 O 0.8583 0.2540 0.2483
O32 O 0.8582 0.5939 0.5820
O33 O 0.8603 0.5744 0.8330
O34 O 0.8618 0.2312 0.4945
O35 O 0.8651 0.8230 0.6067
O36 O 0.8652 0.9340 0.9035
```

***

The following is a r2SCAN calculation of an optimized crystal structure of Na6Co2C4SO16, from the Materials Project database.

Summary:
Theoretical density, Mg/m³: 3.001
Magnetization, μB/f.u.: 3.0
E_form, eV per atom: -1.7373

```
data_Na6Co2C4SO16
_symmetry_space_group_name_H-M 'P 1'
_symmetry_Int_Tables_number 1
_cell_length_a 9.7340
_cell_length_b 9.7445
_cell_length_c 9.7455
_cell_angle_alpha 60.14
_cell_angle_beta 60.07
_cell_angle_gamma 60.07
loop_
_symmetry_equiv_pos_as_xyz
'x,y,z'
loop_
_atom_site_label
_atom_site_type_symbol
_atom_site_fract_x
_atom_site_fract_y
_atom_site_fract_z
Na1 Na 0.0913 0.0910 0.1593
Na2 Na 0.0910 0.6593 0.1582
Na3 Na 0.0908 0.6593 0.5912
Na4 Na 0.3413 0.3415 0.4084
Na5 Na 0.3407 0.9089 0.4083
Na6 Na 0.3407 0.9090 0.8417
Na7 Na 0.6593 0.0910 0.1583
Na8 Na 0.6593 0.0911 0.5917
Na9 Na 0.6587 0.6585 0.5916
Na10 Na 0.9092 0.3407 0.4088
Na11 Na 0.9090 0.3407 0.8418
Na12 Na 0.9087 0.9090 0.8407
Co1 Co 0.0000 0.5000 0.0000
Co2 Co 0.5000 0.0000 0.0000
Co3 Co 0.5000 0.5000 0.0000
Co4 Co 0.5000 0.5000 0.5000
C1 C 0.2811 0.2818 0.1563
C2 C 0.2808 0.2816 0.7817
C3 C 0.2807 0.6565 0.7810
C4 C 0.3444 0.7187 0.2187
C5 C 0.6556 0.2813 0.7813
C6 C 0.7193 0.3435 0.2190
C7 C 0.7192 0.7184 0.2183
C8 C 0.7189 0.7182 0.8437
S1 S 0.1250 0.1249 0.6250
S2 S 0.8750 0.8751 0.3750
O1 O 0.0627 0.0628 0.5630
O2 O 0.0629 0.0631 0.8110
O3 O 0.0629 0.3109 0.5632
O4 O 0.1372 0.6591 0.8032
O5 O 0.1381 0.3024 0.9015
O6 O 0.1382 0.4011 0.1585
O7 O 0.3017 0.4011 0.6395
O8 O 0.3030 0.1388 0.1585
O9 O 0.3034 0.6587 0.8995
O10 O 0.3113 0.0629 0.5630
O11 O 0.3418 0.6006 0.1955
O12 O 0.3417 0.6954 0.3624
O13 O 0.3422 0.8623 0.1012
O14 O 0.3991 0.6583 0.6375
O15 O 0.4007 0.1391 0.8025
O16 O 0.4008 0.3031 0.1583
O17 O 0.5992 0.6969 0.8417
O18 O 0.5993 0.8609 0.1975
O19 O 0.6009 0.3417 0.3625
O20 O 0.6578 0.1377 0.8988
O21 O 0.6583 0.3046 0.6376
O22 O 0.6582 0.3994 0.8045
O23 O 0.6887 0.9371 0.4370
O24 O 0.6966 0.3413 0.1005
O25 O 0.6970 0.8612 0.8415
O26 O 0.6983 0.5989 0.3605
O27 O 0.8618 0.5989 0.8415
O28 O 0.8619 0.6976 0.0985
O29 O 0.8628 0.3409 0.1968
O30 O 0.9371 0.6891 0.4368
O31 O 0.9371 0.9369 0.1890
O32 O 0.9373 0.9372 0.4370
```

***

The following is a r2SCAN calculation of an optimized crystal structure of NdCoC2, from the Materials Project database.

Summary:
Theoretical density, Mg/m³: 7.302
Magnetization, μB/f.u.: 0.0
E_form, eV per atom: -0.3177

```
data_NdCoC2
_symmetry_space_group_name_H-M 'P 1'
_symmetry_Int_Tables_number 1
_cell_length_a 3.7884
_cell_length_b 3.7884
_cell_length_c 7.3578
_cell_angle_alpha 98.37
_cell_angle_beta 98.37
_cell_angle_gamma 90.05
loop_
_symmetry_equiv_pos_as_xyz
'x,y,z'
loop_
_atom_site_label
_atom_site_type_symbol
_atom_site_fract_x
_atom_site_fract_y
_atom_site_fract_z
Nd1 Nd 0.0732 0.9268 0.5000
Nd2 Nd 0.9268 0.0732 0.0000
Co1 Co 0.3717 0.5138 0.8067
Co2 Co 0.5138 0.3717 0.3067
C1 C 0.4416 0.5930 0.0745
C2 C 0.4903 0.8513 0.2279
C3 C 0.5930 0.4416 0.5745
C4 C 0.8513 0.4903 0.7279
```

***

The following is a r2SCAN calculation of an optimized crystal structure of CoCO3, from the Materials Project database.

Summary:
Theoretical density, Mg/m³: 4.286
Magnetization, μB/f.u.: 3.0
E_form, eV per atom: -1.3729

```
data_CoCO3
_symmetry_space_group_name_H-M 'P 1'
_symmetry_Int_Tables_number 1
_cell_length_a 5.6007
_cell_length_b 5.6007
_cell_length_c 5.6007
_cell_angle_alpha 49.09
_cell_angle_beta 49.09
_cell_angle_gamma 49.09
loop_
_symmetry_equiv_pos_as_xyz
'x,y,z'
loop_
_atom_site_label
_atom_site_type_symbol
_atom_site_fract_x
_atom_site_fract_y
_atom_site_fract_z
Co1 Co 0.0000 0.0000 0.0000
Co2 Co 0.5000 0.5000 0.5000
C1 C 0.2500 0.2500 0.2500
C2 C 0.7500 0.7500 0.7500
O1 O 0.0273 0.7500 0.4727
O2 O 0.2500 0.5273 0.9727
O3 O 0.4727 0.0273 0.7500
O4 O 0.5273 0.9727 0.2500
O5 O 0.7500 0.4727 0.0273
O6 O 0.9727 0.2500 0.5273
```

***

The following is a r2SCAN calculation of an optimized crystal structure of PrCoC2, from the Materials Project database.

Summary:
Theoretical density, Mg/m³: 7.066
Magnetization, μB/f.u.: 0.0
E_form, eV per atom: -0.2851

```
data_PrCoC2
_symmetry_space_group_name_H-M 'P 1'
_symmetry_Int_Tables_number 1
_cell_length_a 3.8187
_cell_length_b 3.8187
_cell_length_c 7.3812
_cell_angle_alpha 98.56
_cell_angle_beta 98.56
_cell_angle_gamma 90.06
loop_
_symmetry_equiv_pos_as_xyz
'x,y,z'
loop_
_atom_site_label
_atom_site_type_symbol
_atom_site_fract_x
_atom_site_fract_y
_atom_site_fract_z
Pr1 Pr 0.0743 0.9257 0.5000
Pr2 Pr 0.9257 0.0743 0.0000
Co1 Co 0.4863 0.6284 0.1931
Co2 Co 0.6284 0.4863 0.6931
C1 C 0.1499 0.5098 0.7717
C2 C 0.4067 0.5584 0.9247
C3 C 0.5098 0.1499 0.2717
C4 C 0.5584 0.4067 0.4247
```